(1)
Here is a relaxed UMo12O60 crystal from the Materials Project database. Energies are from PBE with a Hubbard U.

Calculated values
Formation energy   -569 meV per atom
E_tot   -1324.34 eV per cell

```
data_UMo12O60
_chemical_formula_sum 'U3 Mo36 O180'
_symmetry_space_group_name_H-M 'R -3'
_symmetry_Int_Tables_number 148
_symmetry_space_group_name_Hall '-R 3'
_cell_length_a 13.4573
_cell_length_b 13.4573
_cell_length_c 21.8172
_cell_angle_alpha 90.00
_cell_angle_beta 90.00
_cell_angle_gamma 120.00
loop_
_atom_site_label
_atom_site_type_symbol
_atom_site_fract_x
_atom_site_fract_y
_atom_site_fract_z
U1 U 0.0000 0.0000 0.0000
Mo1 Mo 0.0370 0.1838 0.1289
Mo2 Mo 0.0418 0.4772 0.6255
O1 O 0.0024 0.3466 0.5926
O2 O 0.0048 0.1766 0.0228
O3 O 0.0073 0.1303 0.2026
O4 O 0.0083 0.1168 0.9084
O5 O 0.0092 0.1032 0.5128
O6 O 0.0091 0.4882 0.8048
O7 O 0.0228 0.9526 0.3339
O8 O 0.0281 0.5688 0.5554
O9 O 0.0406 0.7616 0.2368
O10 O 0.0727 0.5471 0.3289
```

(2)
Here is a relaxed UMo2O12 crystal from the Materials Project database. Energies are from PBE with a Hubbard U.

Calculated values
Formation energy   -1455 meV per atom
E_tot   -431.11 eV per cell

```
data_UMo2O12
_chemical_formula_sum 'U4 Mo8 O48'
_symmetry_space_group_name_H-M 'P c a 21'
_symmetry_Int_Tables_number 29
_symmetry_space_group_name_Hall 'P 2c -2ac'
_cell_length_a 13.6800
_cell_length_b 6.6661
_cell_length_c 11.6266
_cell_angle_alpha 90.00
_cell_angle_beta 90.00
_cell_angle_gamma 90.00
loop_
_atom_site_label
_atom_site_type_symbol
_atom_site_fract_x
_atom_site_fract_y
_atom_site_fract_z
U1 U 0.0032 0.1899 0.0000
Mo1 Mo 0.0424 0.3355 0.6581
Mo2 Mo 0.0434 0.3412 0.3426
O1 O 0.0008 0.0959 0.3768
O2 O 0.0011 0.6480 0.3172
O3 O 0.0021 0.3584 0.1841
O4 O 0.0046 0.0865 0.6250
O5 O 0.0161 0.4402 0.5008
O6 O 0.1279 0.8188 0.4995
O7 O 0.1342 0.2011 0.0012
O8 O 0.1664 0.3210 0.6636
O9 O 0.1676 0.3282 0.3392
O10 O 0.1863 0.7444 0.1660
O11 O 0.1977 0.8192 0.7894
O12 O 0.2236 0.8707 0.2373
```

(3)
Here is a relaxed U3Mo20O64 crystal from the Materials Project database. Energies are from PBE with a Hubbard U.

Calculated values
Formation energy   -2150 meV per atom
E_tot   -1293.00 eV per cell

```
data_U3Mo20O64
_chemical_formula_sum 'U6 Mo40 O128'
_symmetry_space_group_name_H-M 'C 1 2/m 1'
_symmetry_Int_Tables_number 12
_symmetry_space_group_name_Hall '-C 2y'
_cell_length_a 8.1916
_cell_length_b 20.1988
_cell_length_c 15.3775
_cell_angle_alpha 90.00
_cell_angle_beta 105.37
_cell_angle_gamma 90.00
loop_
_atom_site_label
_atom_site_type_symbol
_atom_site_fract_x
_atom_site_fract_y
_atom_site_fract_z
U1 U 0.0000 0.0000 0.0000
U2 U 0.2493 0.5000 0.4983
Mo1 Mo 0.1080 0.3454 0.1229
Mo2 Mo 0.1117 0.1598 0.1258
Mo3 Mo 0.1768 0.0000 0.2485
Mo4 Mo 0.1819 0.5000 0.2540
Mo5 Mo 0.2371 0.1552 0.3782
Mo6 Mo 0.2381 0.3385 0.3750
O1 O 0.0000 0.0000 0.5000
O2 O 0.0000 0.1305 0.0000
O3 O 0.0000 0.3630 0.0000
O4 O 0.0000 0.5000 0.5000
O5 O 0.0468 0.1579 0.6235
O6 O 0.0502 0.3419 0.6219
O7 O 0.0625 0.2500 0.0990
O8 O 0.0863 0.0627 0.1449
O9 O 0.0939 0.4316 0.1600
O10 O 0.1056 0.0000 0.7485
O11 O 0.1085 0.5000 0.7492
O12 O 0.1360 0.1730 0.2482
O13 O 0.1430 0.3232 0.2535
O14 O 0.1751 0.3414 0.8748
O15 O 0.1797 0.1576 0.8775
O16 O 0.1918 0.0596 0.3578
O17 O 0.1915 0.4388 0.3573
O18 O 0.2174 0.0000 0.9962
O19 O 0.2170 0.2528 0.4093
O20 O 0.2487 0.1209 0.5027
```

Calculated values (μB per formula unit) of size of the total moment for the records, taken in order: 17.9, 0.0, 10.0.